DFT (PBE) results for crystalline GdZn20Co2 at its relaxed geometry.

It has space group Fd-3m (No. 227, origin choice 2), with a = 14.0475 Å, b = 14.0475 Å, c = 14.0475 Å, α = 90.00°, β = 90.00° and γ = 90.00°. The asymmetric unit holds Gd at (0.1250, 0.1250, 0.1250), Zn at (0.0000, 0.0000, 0.0000), Zn at (0.0110, 0.3750, 0.8750), Zn at (0.0589, 0.0589, 0.3261) and Co at (0.0000, 0.0000, 0.5000).

The calculation puts the formation energy at -169 meV per atom. The value obtained for the density is 7.6 g/cm3. The raw total energy comes out at -0.092 Ha/atom.

***

DFT (PBE) results for crystalline Ho2Co3Ge5 at its relaxed geometry.

It has space group C2/c (No. 15), with a = 11.0921 Å, b = 11.7093 Å, c = 5.7307 Å, α = 90.00°, β = 119.10° and γ = 90.00°. The asymmetric unit holds Ho at (0.2301, 0.1373, 0.2338), Co at (0.0000, 0.4970, 0.7500), Co at (0.1010, 0.1412, 0.6170), Ge at (0.0000, 0.0065, 0.2500), Ge at (0.0000, 0.2738, 0.2500), Ge at (0.0000, 0.2840, 0.7500) and Ge at (0.1686, 0.4063, 0.1696).

The calculation puts the formation energy at -578 meV per atom. The value obtained for the density is 8.9 g/cm3. The raw total energy comes out at -0.218 Ha/atom.

***

DFT (PBE) results for crystalline Ho2CoGe4 at its relaxed geometry.

It has space group Amm2 (No. 38), with a = 4.0998 Å, b = 4.1215 Å, c = 15.8518 Å, α = 90.00°, β = 90.00° and γ = 90.00°. The asymmetric unit holds Ho at (0.0000, 0.0000, 0.0000), Ho at (0.5000, 0.0000, 0.2085), Co at (0.0000, 0.0000, 0.7955), Ge at (0.0000, 0.0000, 0.3645), Ge at (0.0000, 0.0000, 0.6511), Ge at (0.5000, 0.0000, 0.5477) and Ge at (0.5000, 0.0000, 0.8620).

The calculation puts the formation energy at -638 meV per atom. The value obtained for the density is 8.4 g/cm3. The raw total energy comes out at -0.206 Ha/atom.

***

DFT (PBE) results for crystalline Ho2CoGe2 at its relaxed geometry.

It has space group C2/m (No. 12), with a = 10.4616 Å, b = 4.2027 Å, c = 10.1536 Å, α = 90.00°, β = 118.16° and γ = 90.00°. The asymmetric unit holds Ho at (0.0060, 0.0000, 0.3325), Ho at (0.1869, 0.0000, 0.1107), Co at (0.2246, 0.5000, 0.3594), Ge at (0.0123, 0.5000, 0.8747) and Ge at (0.1525, 0.5000, 0.5662).

The calculation puts the formation energy at -750 meV per atom. The value obtained for the density is 9.0 g/cm3. The raw total energy comes out at -0.215 Ha/atom.

***

DFT (PBE) results for crystalline Ho3Co4Ge13 at its relaxed geometry.

It has space group Pm-3n (No. 223), with a = 8.8103 Å, b = 8.8103 Å, c = 8.8103 Å, α = 90.00°, β = 90.00° and γ = 90.00°. The asymmetric unit holds Ho at (0.0000, 0.2500, 0.5000), Co at (0.2500, 0.2500, 0.2500), Ge at (0.0000, 0.0000, 0.0000) and Ge at (0.0000, 0.3054, 0.1537).

The calculation puts the formation energy at -411 meV per atom. The value obtained for the density is 8.1 g/cm3. The raw total energy comes out at -0.203 Ha/atom.

***

DFT (PBE) results for crystalline HoCo6Ge6 at its relaxed geometry.

It has space group P6/mmm (No. 191), with a = 5.0852 Å, b = 5.0852 Å, c = 7.8665 Å, α = 90.00°, β = 90.00° and γ = 120.00°. The asymmetric unit holds Ho at (0.0000, 0.0000, 0.0000), Co at (0.0000, 0.5000, 0.2506), Ge at (0.0000, 0.0000, 0.3444), Ge at (0.3333, 0.6667, 0.0000) and Ge at (0.3333, 0.6667, 0.5000).

The calculation puts the formation energy at -350 meV per atom. The value obtained for the density is 9.0 g/cm3. The raw total energy comes out at -0.225 Ha/atom.

***

Q: Which of these has the lowest formation energy?
A: Ho2CoGe2

***

Repeat the second record exactly.
DFT (PBE) results for crystalline Ho2Co3Ge5 at its relaxed geometry.

It has space group C2/c (No. 15), with a = 11.0921 Å, b = 11.7093 Å, c = 5.7307 Å, α = 90.00°, β = 119.10° and γ = 90.00°. The asymmetric unit holds Ho at (0.2301, 0.1373, 0.2338), Co at (0.0000, 0.4970, 0.7500), Co at (0.1010, 0.1412, 0.6170), Ge at (0.0000, 0.0065, 0.2500), Ge at (0.0000, 0.2738, 0.2500), Ge at (0.0000, 0.2840, 0.7500) and Ge at (0.1686, 0.4063, 0.1696).

The calculation puts the formation energy at -578 meV per atom. The value obtained for the density is 8.9 g/cm3. The raw total energy comes out at -0.218 Ha/atom.

***

Q: What is the raw total energy in the fourth record?
A: -0.215 Ha/atom

***

Q: What is the formation energy in the fifth record?
A: -411 meV per atom